Record 1
DFT (PBE) results for a geometry-optimized Mg14AlFe structure.

ΔE to the lowest computed polymorph = 3.8 meV/atom
energy = -32.9 eV/cell
calculated formation energy = 0.1104 eV per atom

a b c (Å): 10.0575 6.2131 6.2131
angles (deg): 59.78 90.00 90.00
With the nearest neighbours (Å) after each atom.
Fractional positions:
Mg: 0.0000 0.0000 0.0000  12 Mg 3.10-3.22
Mg: 0.0000 0.0032 0.4998  12 Mg 3.07-3.27
Mg: 0.0000 0.4984 0.4984  12 Mg 3.07-3.25
Mg: 0.0000 0.4998 0.0032  12 Mg 3.07-3.27
Mg: 0.2485 0.6658 0.6658  1 Al 3.07, 11 Mg 3.08-3.14
Mg: 0.2609 0.1613 0.1613  1 Fe 2.96, 11 Mg 3.00-3.22
Mg: 0.2696 0.1643 0.6774  1 Fe 2.90, 1 Al 2.95, 8 Mg 2.99-3.22
Mg: 0.2696 0.6774 0.1643  1 Fe 2.90, 1 Al 2.95, 8 Mg 2.99-3.22
Mg: 0.5000 0.4980 0.9944  8 Mg 2.99-3.12, 2 Al 3.02-3.19, 2 Fe 3.06-3.15
Mg: 0.5000 0.9944 0.4980  8 Mg 2.99-3.12, 2 Al 3.02-3.19, 2 Fe 3.06-3.15
Mg: 0.7304 0.1643 0.6774  1 Fe 2.90, 1 Al 2.95, 8 Mg 2.99-3.22
Mg: 0.7304 0.6774 0.1643  1 Fe 2.90, 1 Al 2.95, 8 Mg 2.99-3.22
Mg: 0.7391 0.1613 0.1613  1 Fe 2.96, 11 Mg 3.00-3.22
Mg: 0.7515 0.6658 0.6658  1 Al 3.07, 11 Mg 3.08-3.14
Al: 0.5000 0.5047 0.5047  10 Mg 2.95-3.19, 2 Fe 3.10
Fe: 0.5000 0.0013 0.0013  10 Mg 2.90-3.15, 2 Al 3.10

---

Record 2
DFT (PBE) results for a geometry-optimized Mg16Al12Fe structure.

energy = -78.8 eV/cell
calculated formation energy = 0.0085 eV per atom

a b c (Å): 8.8857 8.8857 8.8857
angles (deg): 108.57 108.57 108.57
With the nearest neighbours (Å) after each atom.
Fractional positions:
Mg: 0.0000 0.0000 0.0000  1 Fe 2.56
Mg: 0.0082 0.4076 0.6864  5 Al 2.87-3.09, 6 Mg 3.01-3.21
Mg: 0.0082 0.6864 0.4076  5 Al 2.87-3.09, 6 Mg 3.01-3.21
Mg: 0.0089 0.0089 0.6562  4 Mg 2.97-3.11, 6 Al 3.03-3.15
Mg: 0.0089 0.6562 0.0089  4 Mg 2.97-3.11, 6 Al 3.03-3.15
Mg: 0.3057 0.5796 0.5796  5 Al 2.91-3.09, 4 Mg 2.99-3.19, 1 Fe 3.01
Mg: 0.3233 0.3233 0.7272  5 Al 2.96-3.08, 7 Mg 2.97-3.06
Mg: 0.3233 0.7272 0.3233  5 Al 2.96-3.08, 7 Mg 2.97-3.06
Mg: 0.4076 0.0082 0.6864  5 Al 2.87-3.09, 6 Mg 3.01-3.21
Mg: 0.4076 0.6864 0.0082  5 Al 2.87-3.09, 6 Mg 3.01-3.21
Mg: 0.5796 0.3057 0.5796  5 Al 2.91-3.09, 4 Mg 2.99-3.19, 1 Fe 3.01
Mg: 0.5796 0.5796 0.3057  5 Al 2.91-3.09, 4 Mg 2.99-3.19, 1 Fe 3.01
Mg: 0.6562 0.0089 0.0089  4 Mg 2.97-3.11, 6 Al 3.03-3.15
Mg: 0.6864 0.0082 0.4076  5 Al 2.87-3.09, 6 Mg 3.01-3.21
Mg: 0.6864 0.4076 0.0082  5 Al 2.87-3.09, 6 Mg 3.01-3.21
Mg: 0.7272 0.3233 0.3233  5 Al 2.96-3.08, 7 Mg 2.97-3.06
Al: 0.0123 0.1909 0.3702  3 Al 2.58-2.80, 1 Fe 2.70, 1 Mg 2.87
Al: 0.0123 0.3702 0.1909  3 Al 2.58-2.80, 1 Fe 2.70, 1 Mg 2.87
Al: 0.1909 0.0123 0.3702  3 Al 2.58-2.80, 1 Fe 2.70, 1 Mg 2.87
Al: 0.1909 0.3702 0.0123  3 Al 2.58-2.80, 1 Fe 2.70, 1 Mg 2.87
Al: 0.1970 0.8162 0.8162  3 Al 2.66-2.80, 2 Mg 2.89
Al: 0.3702 0.0123 0.1909  3 Al 2.58-2.80, 1 Fe 2.70, 1 Mg 2.87
Al: 0.3702 0.1909 0.0123  3 Al 2.58-2.80, 1 Fe 2.70, 1 Mg 2.87
Al: 0.6501 0.6501 0.8402  3 Al 2.66-2.74, 3 Mg 2.91-2.96
Al: 0.6501 0.8402 0.6501  3 Al 2.66-2.74, 3 Mg 2.91-2.96
Al: 0.8162 0.1970 0.8162  3 Al 2.66-2.80, 2 Mg 2.89
Al: 0.8162 0.8162 0.1970  3 Al 2.66-2.80, 2 Mg 2.89
Al: 0.8402 0.6501 0.6501  3 Al 2.66-2.74, 3 Mg 2.91-2.96
Fe: 0.2760 0.2760 0.2760  1 Mg 2.56, 6 Al 2.70

---

Record 3
DFT (PBE) results for a geometry-optimized Mg14AlFe structure.

ΔE to the lowest computed polymorph = 0.0 meV/atom
energy = -32.9 eV/cell
calculated formation energy = 0.1066 eV per atom

a b c (Å): 6.2620 6.2620 9.8548
angles (deg): 90.00 90.00 120.00
With the nearest neighbours (Å) after each atom.
Fractional positions:
Mg: 0.0000 0.0000 0.2478  12 Mg 3.04-3.13
Mg: 0.0000 0.0000 0.7522  12 Mg 3.04-3.13
Mg: 0.0181 0.5091 0.2602  1 Fe 2.92, 8 Mg 2.96-3.16, 1 Al 3.08
Mg: 0.0181 0.5091 0.7398  1 Fe 2.92, 8 Mg 2.96-3.16, 1 Al 3.08
Mg: 0.3314 0.1657 0.5000  10 Mg 3.01-3.15, 2 Fe 3.13
Mg: 0.3348 0.1674 0.0000  10 Mg 3.04-3.16, 2 Al 3.13
Mg: 0.4909 0.5091 0.2602  1 Fe 2.92, 8 Mg 2.96-3.16, 1 Al 3.08
Mg: 0.4909 0.5091 0.7398  1 Fe 2.92, 8 Mg 2.96-3.16, 1 Al 3.08
Mg: 0.4909 0.9819 0.2602  1 Fe 2.92, 8 Mg 2.96-3.16, 1 Al 3.08
Mg: 0.4909 0.9819 0.7398  1 Fe 2.92, 8 Mg 2.96-3.16, 1 Al 3.08
Mg: 0.8326 0.1674 0.0000  10 Mg 3.04-3.16, 2 Al 3.13
Mg: 0.8326 0.6652 0.0000  10 Mg 3.04-3.16, 2 Al 3.13
Mg: 0.8343 0.1657 0.5000  10 Mg 3.01-3.15, 2 Fe 3.13
Mg: 0.8343 0.6686 0.5000  10 Mg 3.01-3.15, 2 Fe 3.13
Al: 0.3333 0.6667 0.0000  12 Mg 3.08-3.13
Fe: 0.3333 0.6667 0.5000  12 Mg 2.92-3.13

---

Record 4
DFT (PBE) results for a geometry-optimized Sm2Mn2Al2Fe13 structure.

energy = -146.0 eV/cell
calculated formation energy = -0.0346 eV per atom

a b c (Å): 6.4377 6.4377 6.4213
angles (deg): 97.82 97.82 82.27
With the nearest neighbours (Å) after each atom.
Fractional positions:
Sm: 0.1508 0.1508 0.3511  16 Fe 3.02-3.35, 1 Al 3.12, 2 Mn 3.36
Sm: 0.8492 0.8492 0.6489  16 Fe 3.02-3.35, 1 Al 3.12, 2 Mn 3.36
Mn: 0.0000 0.5000 0.0000  8 Fe 2.43-2.45, 2 Al 2.59
Mn: 0.5000 0.0000 0.0000  8 Fe 2.43-2.45, 2 Al 2.59
Al: 0.4000 0.4000 0.1051  10 Fe 2.55-2.79, 1 Al 2.56, 2 Mn 2.59
Al: 0.6000 0.6000 0.8949  10 Fe 2.55-2.79, 1 Al 2.56, 2 Mn 2.59
Fe: 0.1595 0.1595 0.8474  2 Mn 2.43, 6 Fe 2.48-2.65, 1 Al 2.60
Fe: 0.1605 0.6562 0.3406  7 Fe 2.43-2.67, 1 Mn 2.44, 1 Al 2.58
Fe: 0.2078 0.7922 0.0000  6 Fe 2.45-2.65, 2 Mn 2.45
Fe: 0.2092 0.5014 0.7122  1 Mn 2.43, 7 Fe 2.45-2.67
Fe: 0.3438 0.8395 0.6594  7 Fe 2.43-2.67, 1 Mn 2.44, 1 Al 2.58
Fe: 0.4986 0.7908 0.2878  1 Mn 2.43, 7 Fe 2.45-2.67
Fe: 0.5000 0.5000 0.5000  8 Fe 2.43-2.46, 2 Al 2.55
Fe: 0.5014 0.2092 0.7122  1 Mn 2.43, 7 Fe 2.45-2.67
Fe: 0.6562 0.1605 0.3406  7 Fe 2.43-2.67, 1 Mn 2.44, 1 Al 2.58
Fe: 0.7908 0.4986 0.2878  1 Mn 2.43, 7 Fe 2.45-2.67
Fe: 0.7922 0.2078 0.0000  6 Fe 2.45-2.65, 2 Mn 2.45
Fe: 0.8395 0.3438 0.6594  7 Fe 2.43-2.67, 1 Mn 2.44, 1 Al 2.58
Fe: 0.8405 0.8405 0.1526  2 Mn 2.43, 6 Fe 2.48-2.65, 1 Al 2.60

---

Record 5
DFT (PBE) results for a geometry-optimized AlFe3N structure.

energy = -38.7 eV/cell
calculated formation energy = -0.3105 eV per atom

a b c (Å): 3.7179 3.7179 3.7179
angles (deg): 90.00 90.00 90.00
With the nearest neighbours (Å) after each atom.
Fractional positions:
Al: 0.0000 0.0000 0.0000  12 Fe 2.63
Fe: 0.0000 0.5000 0.5000  2 N 1.86
Fe: 0.5000 0.0000 0.5000  2 N 1.86
Fe: 0.5000 0.5000 0.0000  2 N 1.86
N: 0.5000 0.5000 0.5000  6 Fe 1.86

---

Record 6
DFT (PBE) results for a geometry-optimized Nd6Al3Fe11 structure.

energy = -271.0 eV/cell
calculated formation energy = -0.1234 eV per atom

a b c (Å): 12.9303 12.9303 12.9303
angles (deg): 143.44 143.44 52.67
With the nearest neighbours (Å) after each atom.
Fractional positions:
Nd: 0.0000 0.0000 0.0000  8 Fe 3.07-3.21, 5 Al 3.25-3.31
Nd: 0.0830 0.5830 0.8346  1 Fe 3.12, 5 Al 3.26-3.33, 1 Nd 3.42
Nd: 0.1289 0.6289 0.1706  3 Fe 2.95-3.13
Nd: 0.2137 0.2137 0.0000  12 Fe 3.04-3.28, 1 Al 3.33
Nd: 0.2484 0.0830 0.5000  1 Fe 3.12, 5 Al 3.26-3.33, 1 Nd 3.42
Nd: 0.4583 0.9583 0.8294  3 Fe 2.95-3.13
Nd: 0.5000 0.5000 0.0000  8 Fe 3.07-3.21, 5 Al 3.25-3.31
Nd: 0.5830 0.7484 0.5000  1 Fe 3.12, 5 Al 3.26-3.33, 1 Nd 3.42
Nd: 0.6289 0.4583 0.5000  3 Fe 2.95-3.13
Nd: 0.7137 0.7137 0.0000  12 Fe 3.04-3.28, 1 Al 3.33
Nd: 0.7484 0.2484 0.1654  1 Fe 3.12, 5 Al 3.26-3.33, 1 Nd 3.42
Nd: 0.9583 0.1289 0.5000  3 Fe 2.95-3.13
Al: 0.1319 0.3938 0.5000  6 Fe 2.51-2.63, 1 Al 2.73
Al: 0.3572 0.3572 0.0000  10 Nd 3.31-3.37
Al: 0.3938 0.8938 0.2620  6 Fe 2.51-2.63, 1 Al 2.73
Al: 0.6319 0.1319 0.7380  6 Fe 2.51-2.63, 1 Al 2.73
Al: 0.8572 0.8572 0.0000  10 Nd 3.31-3.37
Al: 0.8938 0.6319 0.5000  6 Fe 2.51-2.63, 1 Al 2.73
Fe: 0.0397 0.8980 0.7222  9 Fe 2.42-2.64, 1 Al 2.63
Fe: 0.0878 0.8161 0.5000  7 Fe 2.51-2.64
Fe: 0.1084 0.6084 0.5000  10 Fe 2.42-2.53, 2 Al 2.60
Fe: 0.1758 0.3175 0.2778  9 Fe 2.42-2.64, 1 Al 2.63
Fe: 0.2259 0.7259 0.8517  6 Fe 2.43-2.70, 3 Al 2.51-2.58
Fe: 0.3161 0.5878 0.5000  7 Fe 2.51-2.64
Fe: 0.3175 0.0397 0.1416  9 Fe 2.42-2.64, 1 Al 2.63
Fe: 0.3458 0.8458 0.8584  9 Fe 2.46-2.70
Fe: 0.3743 0.2259 0.5000  6 Fe 2.43-2.70, 3 Al 2.51-2.58
Fe: 0.3980 0.5397 0.7222  9 Fe 2.42-2.64, 1 Al 2.63
Fe: 0.4874 0.3458 0.5000  9 Fe 2.46-2.70
Fe: 0.5397 0.8175 0.1416  9 Fe 2.42-2.64, 1 Al 2.63
Fe: 0.5878 0.0878 0.2717  7 Fe 2.51-2.64
Fe: 0.6084 0.1084 0.5000  10 Fe 2.42-2.53, 2 Al 2.60
Fe: 0.6758 0.3980 0.8584  9 Fe 2.42-2.64, 1 Al 2.63
Fe: 0.7259 0.8743 0.5000  6 Fe 2.43-2.70, 3 Al 2.51-2.58
Fe: 0.8161 0.3161 0.7283  7 Fe 2.51-2.64
Fe: 0.8175 0.6758 0.2778  9 Fe 2.42-2.64, 1 Al 2.63
Fe: 0.8458 0.9874 0.5000  9 Fe 2.46-2.70
Fe: 0.8743 0.3743 0.1483  6 Fe 2.43-2.70, 3 Al 2.51-2.58
Fe: 0.8980 0.1758 0.8584  9 Fe 2.42-2.64, 1 Al 2.63
Fe: 0.9874 0.4874 0.1416  9 Fe 2.46-2.70

---

Record 7
DFT (PBE) results for a geometry-optimized Nd6Al5Fe9 structure.

energy = -255.8 eV/cell
calculated formation energy = -0.2178 eV per atom

a b c (Å): 13.0576 13.0576 13.0576
angles (deg): 143.62 143.62 52.39
With the nearest neighbours (Å) after each atom.
Fractional positions:
Nd: 0.0235 0.5235 0.1666  1 Fe 3.13, 5 Al 3.27-3.35, 1 Nd 3.40
Nd: 0.1059 0.1059 0.0000  8 Fe 3.07-3.22, 5 Al 3.27-3.38
Nd: 0.1430 0.9765 0.5000  1 Fe 3.13, 5 Al 3.27-3.35, 1 Nd 3.40
Nd: 0.3570 0.8570 0.8334  1 Fe 3.13, 5 Al 3.27-3.35, 1 Nd 3.40
Nd: 0.3941 0.3941 0.0000  8 Fe 3.07-3.22, 5 Al 3.27-3.38
Nd: 0.4765 0.6430 0.5000  1 Fe 3.13, 5 Al 3.27-3.35, 1 Nd 3.40
Nd: 0.5235 0.3570 0.5000  1 Fe 3.13, 5 Al 3.27-3.35, 1 Nd 3.40
Nd: 0.6059 0.6059 0.0000  8 Fe 3.07-3.22, 5 Al 3.27-3.38
Nd: 0.6430 0.1430 0.1666  1 Fe 3.13, 5 Al 3.27-3.35, 1 Nd 3.40
Nd: 0.8570 0.0235 0.5000  1 Fe 3.13, 5 Al 3.27-3.35, 1 Nd 3.40
Nd: 0.8941 0.8941 0.0000  8 Fe 3.07-3.22, 5 Al 3.27-3.38
Nd: 0.9765 0.4765 0.8334  1 Fe 3.13, 5 Al 3.27-3.35, 1 Nd 3.40
Al: 0.0255 0.2872 0.5000  6 Fe 2.51-2.63, 1 Al 2.75
Al: 0.2128 0.4745 0.5000  6 Fe 2.51-2.63, 1 Al 2.75
Al: 0.2500 0.2500 0.0000  10 Nd 3.35-3.38
Al: 0.2872 0.7872 0.2618  6 Fe 2.51-2.63, 1 Al 2.75
Al: 0.4745 0.9745 0.2618  6 Fe 2.51-2.63, 1 Al 2.75
Al: 0.5255 0.0255 0.7382  6 Fe 2.51-2.63, 1 Al 2.75
Al: 0.7128 0.2128 0.7382  6 Fe 2.51-2.63, 1 Al 2.75
Al: 0.7500 0.7500 0.0000  10 Nd 3.35-3.38
Al: 0.7872 0.5255 0.5000  6 Fe 2.51-2.63, 1 Al 2.75
Al: 0.9745 0.7128 0.5000  6 Fe 2.51-2.63, 1 Al 2.75
Fe: 0.0000 0.5000 0.5000  8 Fe 2.42-2.43, 4 Al 2.59
Fe: 0.0683 0.2113 0.2796  8 Fe 2.42-2.57, 2 Al 2.63
Fe: 0.1190 0.6190 0.8519  6 Fe 2.43-2.67, 3 Al 2.51-2.60
Fe: 0.2113 0.9317 0.1430  8 Fe 2.42-2.57, 2 Al 2.63
Fe: 0.2329 0.7329 0.8519  6 Fe 2.43-2.67, 3 Al 2.51-2.60
Fe: 0.2671 0.1190 0.5000  6 Fe 2.43-2.67, 3 Al 2.51-2.60
Fe: 0.2887 0.4317 0.7204  8 Fe 2.42-2.57, 2 Al 2.63
Fe: 0.3810 0.2329 0.5000  6 Fe 2.43-2.67, 3 Al 2.51-2.60
Fe: 0.4317 0.7113 0.1430  8 Fe 2.42-2.57, 2 Al 2.63
Fe: 0.5000 0.0000 0.5000  8 Fe 2.42-2.43, 4 Al 2.59
Fe: 0.5683 0.2887 0.8570  8 Fe 2.42-2.57, 2 Al 2.63
Fe: 0.6190 0.7671 0.5000  6 Fe 2.43-2.67, 3 Al 2.51-2.60
Fe: 0.7113 0.5683 0.2796  8 Fe 2.42-2.57, 2 Al 2.63
Fe: 0.7329 0.8810 0.5000  6 Fe 2.43-2.67, 3 Al 2.51-2.60
Fe: 0.7671 0.2671 0.1481  6 Fe 2.43-2.67, 3 Al 2.51-2.60
Fe: 0.7887 0.0683 0.8570  8 Fe 2.42-2.57, 2 Al 2.63
Fe: 0.8810 0.3810 0.1481  6 Fe 2.43-2.67, 3 Al 2.51-2.60
Fe: 0.9317 0.7887 0.7204  8 Fe 2.42-2.57, 2 Al 2.63